Arrangement w

# Li32Mn5Cr11O48

A relaxed Li32Mn5Cr11O48 crystal (GGA+U, the Materials Project).

The calculated volume comes out at 8.76 Å³/atom.

Cell lengths 5.016, 5.016, 38.453 Å; angles 89.01, 89.01, 119.61 degrees
Element x y z (fractional)
Li 0.716 0.908 0.563
Li 0.619 0.496 0.812
Li 0.690 0.568 0.625
Li 0.748 0.628 0.437
Li 0.806 0.683 0.250
Li 0.874 0.749 0.062
Li 0.938 0.812 0.875
Li 0.666 0.215 0.688
Li 0.991 0.875 0.687
Li 0.785 0.334 0.312
Li 0.905 0.461 0.938
Li 0.062 0.938 0.500
Li 0.125 0.009 0.313
Li 0.037 0.590 0.563
Li 0.157 0.708 0.188
Li 0.839 0.036 0.188
Li 0.964 0.161 0.812
Li 0.292 0.843 0.812
Li 0.410 0.963 0.437
Li 0.092 0.284 0.437
Li 0.212 0.407 0.063
Li 0.188 0.062 0.125
Li 0.342 0.536 0.687
Li 0.464 0.658 0.313
Li 0.251 0.126 0.938
Li 0.593 0.788 0.937
Li 0.317 0.194 0.750
Li 0.372 0.252 0.563
Li 0.432 0.310 0.375
Li 0.504 0.381 0.188
Li 0.565 0.435 0.000
Li 0.539 0.095 0.062
Mn 0.646 0.854 0.750
Mn 0.770 0.980 0.375
Mn 0.895 0.105 0.000
Mn 0.020 0.230 0.625
Mn 0.146 0.354 0.250
Cr 0.733 0.267 0.500
Cr 0.858 0.391 0.125
Cr 0.986 0.527 0.750
Cr 0.098 0.642 0.375
Cr 0.234 0.766 0.000
Cr 0.358 0.902 0.625
Cr 0.266 0.484 0.875
Cr 0.392 0.608 0.500
Cr 0.516 0.734 0.125
Cr 0.473 0.014 0.250
Cr 0.609 0.142 0.875
O 0.718 0.956 0.472
O 0.687 0.914 0.653
O 0.695 0.570 0.528
O 0.821 0.696 0.153
O 0.674 0.555 0.721
O 0.809 0.681 0.347
O 0.931 0.806 0.972
O 0.944 0.814 0.778
O 0.070 0.951 0.404
O 0.692 0.208 0.597
O 0.049 0.930 0.596
O 0.822 0.338 0.222
O 0.958 0.469 0.847
O 0.662 0.178 0.778
O 0.792 0.308 0.403
O 0.906 0.423 0.028
O 0.844 0.082 0.097
O 0.804 0.038 0.278
O 0.918 0.156 0.903
O 0.081 0.593 0.472
O 0.208 0.719 0.097
O 0.039 0.555 0.653
O 0.165 0.681 0.278
O 0.281 0.792 0.903
O 0.962 0.196 0.722
O 0.086 0.313 0.347
O 0.211 0.448 0.972
O 0.044 0.282 0.528
O 0.167 0.405 0.153
O 0.319 0.835 0.722
O 0.445 0.961 0.347
O 0.407 0.919 0.528
O 0.336 0.570 0.597
O 0.462 0.688 0.222
O 0.595 0.833 0.847
O 0.312 0.538 0.778
O 0.430 0.664 0.403
O 0.194 0.069 0.028
O 0.552 0.789 0.028
O 0.186 0.056 0.222
O 0.304 0.179 0.847
O 0.319 0.191 0.653
O 0.445 0.326 0.279
O 0.570 0.446 0.903
O 0.430 0.305 0.472
O 0.554 0.430 0.097
O 0.577 0.094 0.972
O 0.531 0.042 0.153

---

Arrangement x

# Li32Mn5Cr11O48

A relaxed Li32Mn5Cr11O48 crystal (GGA+U, the Materials Project).

The calculated volume comes out at 8.77 Å³/atom.

Cell lengths 5.009, 5.033, 38.422 Å; angles 91.20, 90.75, 119.57 degrees
Element x y z (fractional)
Li 0.917 0.092 0.750
Li 0.002 0.505 0.000
Li 0.942 0.442 0.813
Li 0.874 0.375 0.625
Li 0.814 0.309 0.437
Li 0.746 0.250 0.250
Li 0.687 0.187 0.062
Li 0.967 0.784 0.875
Li 0.624 0.124 0.875
Li 0.841 0.663 0.500
Li 0.721 0.539 0.125
Li 0.561 0.066 0.688
Li 0.502 0.001 0.500
Li 0.587 0.411 0.750
Li 0.462 0.285 0.375
Li 0.785 0.964 0.375
Li 0.659 0.836 0.000
Li 0.338 0.160 0.000
Li 0.221 0.040 0.625
Li 0.531 0.709 0.625
Li 0.417 0.592 0.250
Li 0.437 0.937 0.313
Li 0.285 0.466 0.875
Li 0.156 0.337 0.500
Li 0.374 0.876 0.125
Li 0.031 0.209 0.125
Li 0.308 0.809 0.937
Li 0.246 0.746 0.750
Li 0.187 0.687 0.562
Li 0.128 0.626 0.375
Li 0.060 0.566 0.188
Li 0.087 0.908 0.250
Mn 0.646 0.479 0.937
Mn 0.730 0.895 0.188
Mn 0.604 0.771 0.813
Mn 0.230 0.395 0.688
Mn 0.144 0.980 0.437
Cr 0.973 0.140 0.937
Cr 0.858 0.016 0.563
Cr 0.893 0.735 0.687
Cr 0.778 0.609 0.313
Cr 0.517 0.359 0.562
Cr 0.393 0.234 0.187
Cr 0.276 0.110 0.813
Cr 0.481 0.640 0.438
Cr 0.358 0.516 0.063
Cr 0.098 0.266 0.312
Cr 0.017 0.859 0.062
O 0.914 0.053 0.660
O 0.945 0.084 0.841
O 0.929 0.430 0.716
O 0.810 0.299 0.341
O 0.945 0.450 0.908
O 0.821 0.321 0.534
O 0.696 0.194 0.159
O 0.684 0.182 0.966
O 0.555 0.055 0.591
O 0.929 0.787 0.784
O 0.565 0.067 0.784
O 0.802 0.664 0.410
O 0.669 0.531 0.034
O 0.961 0.813 0.966
O 0.844 0.707 0.591
O 0.719 0.579 0.216
O 0.793 0.942 0.284
O 0.826 0.968 0.466
O 0.706 0.843 0.091
O 0.549 0.407 0.659
O 0.430 0.287 0.285
O 0.586 0.444 0.840
O 0.461 0.322 0.465
O 0.344 0.207 0.091
O 0.666 0.807 0.910
O 0.531 0.667 0.534
O 0.415 0.553 0.160
O 0.572 0.711 0.715
O 0.445 0.587 0.340
O 0.306 0.165 0.909
O 0.170 0.032 0.534
O 0.219 0.078 0.716
O 0.288 0.436 0.784
O 0.156 0.297 0.409
O 0.031 0.167 0.034
O 0.320 0.463 0.965
O 0.206 0.343 0.591
O 0.430 0.931 0.216
O 0.072 0.211 0.215
O 0.445 0.945 0.409
O 0.322 0.820 0.034
O 0.305 0.800 0.842
O 0.180 0.681 0.466
O 0.054 0.555 0.091
O 0.195 0.694 0.659
O 0.065 0.575 0.284
O 0.049 0.906 0.159
O 0.082 0.933 0.341

---

The structures above, arranged from the most stable to the least stable: arrangement x, arrangement w.